No. 1
First-principles (GGA-PBE) data for crystalline Ce3Er at its relaxed geometry, as listed in Materials Project.

a = 4.842 Å, b = 4.842 Å, c = 4.842 Å
α = 90.00°, β = 90.00°, γ = 90.00°
Element x y z (fractional)
Ce1 0.500 0.000 0.500
Ce2 0.500 0.500 0.000
Ce3 0.000 0.500 0.500
Er1 0.000 0.000 0.000

The excess energy over the best structure of this formula in the dataset comes out at 7 meV/atom. For the total moment, the calculation gives 1.41 μB/f.u.

No. 2
First-principles (GGA-PBE) data for crystalline AlWC at its relaxed geometry, as listed in Materials Project.

a = 2.846 Å, b = 2.858 Å, c = 4.816 Å
α = 90.00°, β = 90.00°, γ = 90.00°
Element x y z (fractional)
Al1 0.000 0.000 0.498
C1 0.500 0.500 0.679
W1 0.500 0.000 0.990

For the total moment, the calculation gives 0.00 μB/f.u.

No. 3
First-principles (GGA-PBE) data for crystalline B2Ru at its relaxed geometry, as listed in Materials Project.

a = 2.883 Å, b = 4.055 Å, c = 4.667 Å
α = 90.00°, β = 90.00°, γ = 90.00°
Element x y z (fractional)
B1 0.000 0.364 0.196
B2 0.500 0.636 0.696
B3 0.000 0.364 0.804
B4 0.500 0.636 0.304
Ru1 0.000 0.848 0.000
Ru2 0.500 0.152 0.500

No. 4
First-principles (GGA-PBE) data for crystalline Mo15Se19 at its relaxed geometry, as listed in Materials Project.

a = 20.578 Å, b = 20.578 Å, c = 20.578 Å
α = 27.21°, β = 27.21°, γ = 27.21°
Element x y z (fractional)
Mo1 0.498 0.372 0.690
Mo2 0.750 0.911 0.589
Mo3 0.724 0.544 0.866
Mo4 0.628 0.310 0.502
Mo5 0.866 0.724 0.544
Mo6 0.276 0.456 0.134
Mo7 0.589 0.750 0.911
Mo8 0.411 0.250 0.089
Mo9 0.002 0.810 0.128
Mo10 0.776 0.634 0.956
Mo11 0.690 0.498 0.372
Mo12 0.224 0.366 0.044
Mo13 0.044 0.224 0.366
Mo14 0.128 0.002 0.810
Mo15 0.911 0.589 0.750
Mo16 0.372 0.690 0.498
Mo17 0.544 0.866 0.724
Mo18 0.134 0.276 0.456
Mo19 0.956 0.776 0.634
Mo20 0.366 0.044 0.224
Mo21 0.456 0.134 0.276
Mo22 0.872 0.998 0.190
Mo23 0.998 0.190 0.872
Mo24 0.810 0.128 0.002
Mo25 0.089 0.411 0.250
Mo26 0.190 0.872 0.998
Mo27 0.634 0.956 0.776
Mo28 0.250 0.089 0.411
Mo29 0.310 0.502 0.628
Mo30 0.502 0.628 0.310
Se1 0.447 0.194 0.811
Se2 0.461 0.814 0.080
Se3 0.677 0.677 0.677
Se4 0.947 0.311 0.694
Se5 0.189 0.553 0.806
Se6 0.689 0.306 0.053
Se7 0.920 0.539 0.186
Se8 0.039 0.420 0.686
Se9 0.323 0.323 0.323
Se10 0.560 0.940 0.250
Se11 0.440 0.060 0.750
Se12 0.080 0.461 0.814
Se13 0.686 0.039 0.420
Se14 0.060 0.750 0.440
Se15 0.946 0.946 0.946
Se16 0.811 0.447 0.194
Se17 0.814 0.080 0.461
Se18 0.314 0.961 0.580
Se19 0.053 0.689 0.306
Se20 0.054 0.054 0.054
Se21 0.806 0.189 0.553
Se22 0.250 0.560 0.940
Se23 0.940 0.250 0.560
Se24 0.311 0.694 0.947
Se25 0.580 0.314 0.961
Se26 0.823 0.823 0.823
Se27 0.420 0.686 0.039
Se28 0.554 0.554 0.554
Se29 0.177 0.177 0.177
Se30 0.694 0.947 0.311
Se31 0.750 0.440 0.060
Se32 0.961 0.580 0.314
Se33 0.553 0.806 0.189
Se34 0.539 0.186 0.920
Se35 0.306 0.053 0.689
Se36 0.194 0.811 0.447
Se37 0.446 0.446 0.446
Se38 0.186 0.920 0.539

The excess energy over the best structure of this formula in the dataset comes out at 2 meV/atom. For the total moment, the calculation gives 0.00 μB/f.u.

Number 1: ΔE_f 0.096 eV per atom. Number 2: ΔE_f 0.668 eV per atom. Number 3: ΔE_f -0.286 eV per atom. Number 4: ΔE_f -0.763 eV per atom.